(1)
Density functional theory data (meta-GGA r2SCAN) for a relaxed CeZn4Ni crystal.

Cell and atoms, written as POSCAR:
```
CeZn4Ni
1.0
4.2022 0.0000 0.0000
0.0000 2.6054 4.5260
0.0000 -2.6054 4.5260
Ce Zn Ni
1 4 1
direct
0.0000 0.0000 0.0000 Ce
0.0000 0.6658 0.6658 Zn
0.5000 0.0078 0.4954 Zn
0.5000 0.4954 0.0078 Zn
0.5000 0.4956 0.4956 Zn
0.0000 0.3327 0.3327 Ni
```

## Properties
Space group: Amm2
Calculated formation energy in eV/atom: -0.329
Electronic total energy in eV for the cell shown: -80.44

(2)
Density functional theory data (meta-GGA r2SCAN) for a relaxed KTe crystal.

Cell and atoms, written as POSCAR:
```
KTe
1.0
9.5481 0.0000 0.0000
-4.7740 8.2689 0.0000
0.0000 0.0000 6.5712
K Te
6 6
direct
0.0000 0.3193 0.0000 K
0.0000 0.6537 0.5000 K
0.3193 0.0000 0.0000 K
0.3463 0.3463 0.5000 K
0.6537 0.0000 0.5000 K
0.6807 0.6807 0.0000 K
0.0000 0.0000 0.2869 Te
0.0000 0.0000 0.7131 Te
0.3333 0.6667 0.2140 Te
0.3333 0.6667 0.7860 Te
0.6667 0.3333 0.2140 Te
0.6667 0.3333 0.7860 Te
```

## Properties
Space group: P-62m
Calculated formation energy in eV/atom: -1.010
Electronic total energy in eV for the cell shown: -200.73

(3)
Density functional theory data (meta-GGA r2SCAN) for a relaxed BeGaRh2 crystal.

Cell and atoms, written as POSCAR:
```
BeGaRh2
1.0
0.0000 2.8985 2.8985
2.8985 0.0000 2.8985
2.8985 2.8985 0.0000
Be Ga Rh
1 1 2
direct
0.0000 0.0000 0.0000 Be
0.5000 0.5000 0.5000 Ga
0.2500 0.2500 0.2500 Rh
0.7500 0.7500 0.7500 Rh
```

## Properties
Space group: Fm-3m
Calculated formation energy in eV/atom: -0.727
Electronic total energy in eV for the cell shown: -66.96